[1]
VASP calculation (PBE) on crystalline Li6Sb2S7 at its relaxed geometry.

Cell: 6.4986 7.5784 12.6823 Å, 90.00 109.80 90.00°
With the nearest neighbours (Å) after each atom.
Fractional positions:
Li  0.2255  0.2072  0.3546  5 S 2.51-2.72
Li  0.2255  0.2928  0.8546  5 S 2.51-2.72
Li  0.2272  0.7275  0.8615  5 S 2.53-2.66
Li  0.2272  0.7725  0.3615  5 S 2.53-2.66
Li  0.2458  0.5175  0.6485  4 S 2.51-2.68
Li  0.2458  0.9825  0.1485  4 S 2.51-2.68
Li  0.7542  0.0175  0.8515  4 S 2.51-2.68
Li  0.7542  0.4825  0.3515  4 S 2.51-2.68
Li  0.7728  0.2275  0.6385  5 S 2.53-2.66
Li  0.7728  0.2725  0.1385  5 S 2.53-2.66
Li  0.7745  0.7072  0.1454  5 S 2.51-2.72
Li  0.7745  0.7928  0.6454  5 S 2.51-2.72
Sb  0.2484  0.0027  0.6279  6 S 2.48-2.67
Sb  0.2484  0.4973  0.1279  6 S 2.48-2.67
Sb  0.7516  0.5027  0.8721  6 S 2.48-2.67
Sb  0.7516  0.9973  0.3721  6 S 2.48-2.67
S  0.0086  0.7400  0.0047  2 Sb 2.57-2.64, 3 Li 2.66-2.72
S  0.0086  0.7600  0.5047  2 Sb 2.57-2.64, 3 Li 2.66-2.72
S  0.0455  0.0121  0.7621  1 Sb 2.48, 5 Li 2.51-2.57
S  0.0455  0.4879  0.2621  1 Sb 2.48, 5 Li 2.51-2.57
S  0.4957  0.2329  0.2423  4 Li 2.52-2.62, 2 Sb 2.61-2.67
S  0.4957  0.2671  0.7423  4 Li 2.52-2.62, 2 Sb 2.61-2.67
S  0.5000  0.0000  0.5000  4 Li 2.61-2.66, 2 Sb 2.66
S  0.5000  0.5000  0.0000  4 Li 2.61-2.66, 2 Sb 2.66
S  0.5043  0.7329  0.2577  4 Li 2.52-2.62, 2 Sb 2.61-2.67
S  0.5043  0.7671  0.7577  4 Li 2.52-2.62, 2 Sb 2.61-2.67
S  0.9545  0.5121  0.7379  1 Sb 2.48, 5 Li 2.51-2.57
S  0.9545  0.9879  0.2379  1 Sb 2.48, 5 Li 2.51-2.57
S  0.9914  0.2400  0.4953  2 Sb 2.57-2.64, 3 Li 2.66-2.72
S  0.9914  0.2600  0.9953  2 Sb 2.57-2.64, 3 Li 2.66-2.72

Total magnetization in μB/f.u.: 0.000
Calculated formation energy in eV/atom: -1.08
Uncorrected energy in eV/atom: -4.0903



[2]
VASP calculation (PBE) on crystalline Ba6MgIr6O18 at its relaxed geometry.

Cell: 5.7917 5.8627 14.9876 Å, 93.98 90.09 119.40°
With the nearest neighbours (Å) after each atom.
Fractional positions:
Ba  0.0000  0.0000  0.0000  7 O 2.70-2.94
Ba  0.0059  0.0174  0.3076  5 O 2.63-2.81
Ba  0.3067  0.6138  0.8351  7 O 2.67-2.95
Ba  0.3694  0.7338  0.4884  3 O 2.52-2.73
Ba  0.5996  0.2001  0.7001  5 O 2.50-2.79
Ba  0.6733  0.3543  0.1582  6 O 2.59-2.90
Mg  0.7907  0.5736  0.5679  5 O 2.03-2.08
Ir  0.0397  0.0753  0.5667  6 O 2.01-2.18
Ir  0.3360  0.6785  0.2538  6 O 2.04-2.08
Ir  0.3372  0.6760  0.0662  6 O 2.02-2.12
Ir  0.6562  0.3119  0.9155  6 O 2.02-2.14
Ir  0.6876  0.3760  0.4024  6 O 2.03-2.19
Ir  0.9768  0.9536  0.7552  6 O 2.04-2.15
O  0.0149  0.5354  0.9792  2 Ir 2.02-2.05
O  0.1295  0.8334  0.6434  1 Mg 2.07, 2 Ir 2.13
O  0.1407  0.2818  0.6864  2 Ir 2.01-2.04
O  0.1890  0.8257  0.1639  2 Ir 2.04-2.05
O  0.1923  0.3862  0.1507  2 Ir 2.02-2.06
O  0.2900  0.0757  0.8506  2 Ir 2.07-2.10
O  0.4245  0.3056  0.5145  1 Mg 2.04, 2 Ir 2.14-2.19
O  0.4767  0.4581  0.3140  2 Ir 2.04-2.08
O  0.4920  0.9908  0.3520  2 Ir 2.05-2.08
O  0.5179  0.0461  0.0119  2 Ir 2.06-2.12
O  0.5319  0.5473  0.9797  2 Ir 2.04-2.06
O  0.6303  0.8264  0.1646  2 Ir 2.04
O  0.7080  0.8342  0.6428  1 Mg 2.08, 2 Ir 2.12-2.13
O  0.7768  0.0660  0.8500  2 Ir 2.08-2.10
O  0.7977  0.5850  0.8145  2 Ir 2.14-2.15
O  0.8889  0.7728  0.4557  1 Mg 2.03, 2 Ir 2.12-2.18
O  0.8907  0.3089  0.5125  1 Mg 2.03, 2 Ir 2.14-2.19
O  0.9730  0.4601  0.3116  2 Ir 2.03-2.08

Total magnetization in μB/f.u.: 0.870
Calculated formation energy in eV/atom: -1.92
Uncorrected energy in eV/atom: -6.5305



[3]
VASP calculation (PBE) on crystalline Lu2InAg at its relaxed geometry.

Cell: 5.1508 5.1508 5.1508 Å, 60.00 60.00 60.00°
With the nearest neighbours (Å) after each atom.
Fractional positions:
Lu  0.2500  0.2500  0.2500  4 Ag 3.15, 4 In 3.15
Lu  0.7500  0.7500  0.7500  4 Ag 3.15, 4 In 3.15
In  0.0000  0.0000  0.0000  8 Lu 3.15
Ag  0.5000  0.5000  0.5000  8 Lu 3.15

Calculated formation energy in eV/atom: -0.39
Uncorrected energy in eV/atom: -4.0433



[4]
VASP calculation (PBE) on crystalline MgPb2 at its relaxed geometry.

Cell: 6.8415 6.8415 7.7787 Å, 104.56 104.56 29.56°
With the nearest neighbours (Å) after each atom.
Fractional positions:
Mg  0.1458  0.1458  0.0322  7 Pb 3.19-3.34, 4 Mg 3.41-3.49
Mg  0.8542  0.8542  0.9678  7 Pb 3.19-3.34, 4 Mg 3.41-3.49
Pb  0.1929  0.1929  0.6506  3 Mg 3.19-3.31, 6 Pb 3.49-3.56
Pb  0.4737  0.4737  0.7245  4 Mg 3.27-3.34, 7 Pb 3.49-3.62
Pb  0.5263  0.5263  0.2755  4 Mg 3.27-3.34, 7 Pb 3.49-3.62
Pb  0.8071  0.8071  0.3494  3 Mg 3.19-3.31, 6 Pb 3.49-3.56

Calculated formation energy in eV/atom: 0.01
Uncorrected energy in eV/atom: -3.0025



Q: What is the calculated formation energy in the second record?
A: -1.92 eV/atom



Q: The lowest calculated formation energy belongs to which entry?
A: Ba6MgIr6O18



Repeat the second record exactly.
VASP calculation (PBE) on crystalline Ba6MgIr6O18 at its relaxed geometry.

Cell: 5.7917 5.8627 14.9876 Å, 93.98 90.09 119.40°
With the nearest neighbours (Å) after each atom.
Fractional positions:
Ba  0.0000  0.0000  0.0000  7 O 2.70-2.94
Ba  0.0059  0.0174  0.3076  5 O 2.63-2.81
Ba  0.3067  0.6138  0.8351  7 O 2.67-2.95
Ba  0.3694  0.7338  0.4884  3 O 2.52-2.73
Ba  0.5996  0.2001  0.7001  5 O 2.50-2.79
Ba  0.6733  0.3543  0.1582  6 O 2.59-2.90
Mg  0.7907  0.5736  0.5679  5 O 2.03-2.08
Ir  0.0397  0.0753  0.5667  6 O 2.01-2.18
Ir  0.3360  0.6785  0.2538  6 O 2.04-2.08
Ir  0.3372  0.6760  0.0662  6 O 2.02-2.12
Ir  0.6562  0.3119  0.9155  6 O 2.02-2.14
Ir  0.6876  0.3760  0.4024  6 O 2.03-2.19
Ir  0.9768  0.9536  0.7552  6 O 2.04-2.15
O  0.0149  0.5354  0.9792  2 Ir 2.02-2.05
O  0.1295  0.8334  0.6434  1 Mg 2.07, 2 Ir 2.13
O  0.1407  0.2818  0.6864  2 Ir 2.01-2.04
O  0.1890  0.8257  0.1639  2 Ir 2.04-2.05
O  0.1923  0.3862  0.1507  2 Ir 2.02-2.06
O  0.2900  0.0757  0.8506  2 Ir 2.07-2.10
O  0.4245  0.3056  0.5145  1 Mg 2.04, 2 Ir 2.14-2.19
O  0.4767  0.4581  0.3140  2 Ir 2.04-2.08
O  0.4920  0.9908  0.3520  2 Ir 2.05-2.08
O  0.5179  0.0461  0.0119  2 Ir 2.06-2.12
O  0.5319  0.5473  0.9797  2 Ir 2.04-2.06
O  0.6303  0.8264  0.1646  2 Ir 2.04
O  0.7080  0.8342  0.6428  1 Mg 2.08, 2 Ir 2.12-2.13
O  0.7768  0.0660  0.8500  2 Ir 2.08-2.10
O  0.7977  0.5850  0.8145  2 Ir 2.14-2.15
O  0.8889  0.7728  0.4557  1 Mg 2.03, 2 Ir 2.12-2.18
O  0.8907  0.3089  0.5125  1 Mg 2.03, 2 Ir 2.14-2.19
O  0.9730  0.4601  0.3116  2 Ir 2.03-2.08

Total magnetization in μB/f.u.: 0.870
Calculated formation energy in eV/atom: -1.92
Uncorrected energy in eV/atom: -6.5305



Q: What is the uncorrected energy in the third record?
A: -4.0433 eV/atom